1.
Here is crystalline ScCu2O4 at its relaxed geometry from the Materials Project database. Energies are from r²SCAN.

abc: 6.1071 6.0156 6.1071
angles: 126.21 79.87 127.08
Last column: nearest neighbours and their distance in Å.
Sites, in units of the cell vectors:
Sc  0.8761  0.7500  0.6261  8 O 2.21-2.32
Sc  0.1239  0.2500  0.3739  8 O 2.21-2.32
Cu  0.5000  0.0000  0.0000  4 O 1.90-1.93
Cu  0.5000  0.5000  0.0000  4 O 1.83-1.85
Cu  0.5000  0.0000  0.5000  4 O 1.83-1.85
Cu  0.0000  0.5000  0.0000  4 O 1.90-1.93
O  0.8244  0.7012  0.2299  2 Cu 1.85-1.90
O  0.4713  0.2012  0.3768  2 Cu 1.85-1.90
O  0.7355  0.8955  0.0199  2 Cu 1.83-1.93
O  0.8756  0.3955  0.6600  2 Cu 1.83-1.93
O  0.1244  0.6045  0.3400  2 Cu 1.83-1.93
O  0.2645  0.1045  0.9801  2 Cu 1.83-1.93
O  0.5287  0.7988  0.6232  2 Cu 1.85-1.90
O  0.1756  0.2988  0.7701  2 Cu 1.85-1.90


2.
Here is crystalline CuSeO3 at its relaxed geometry from the Materials Project database. Energies are from r²SCAN.

abc: 4.7311 8.6735 10.5794
angles: 113.04 91.75 88.98
Last column: nearest neighbours and their distance in Å.
Sites, in units of the cell vectors:
Cu  0.4697  0.9885  0.7444  4 O 1.91-2.00
Cu  0.0311  0.6434  0.6643  4 O 1.94-1.99
Cu  0.0000  0.0000  0.0000  4 O 1.95-1.99
Cu  0.5303  0.0115  0.2556  4 O 1.91-2.00
Cu  0.0000  0.0000  0.5000  4 O 1.91-1.92
Cu  0.9689  0.3566  0.3357  4 O 1.94-1.99
Se  0.5793  0.6937  0.8798  3 O 1.70-1.75
Se  0.5425  0.7280  0.4764  3 O 1.68-1.77
Se  0.4207  0.3063  0.1202  3 O 1.70-1.75
Se  0.9750  0.2478  0.8308  3 O 1.69-1.76
Se  0.4575  0.2720  0.5236  3 O 1.68-1.77
Se  0.0250  0.7522  0.1692  3 O 1.69-1.76
O  0.1201  0.0721  0.8532  1 Se 1.76
O  0.7017  0.9214  0.5764  1 Se 1.76, 1 Cu 1.91
O  0.7166  0.5569  0.7301  1 Se 1.70
O  0.3740  0.7915  0.1692  1 Se 1.69
O  0.9394  0.8030  0.3355  1 Se 1.70
O  0.3094  0.7744  0.6142  1 Se 1.77, 2 Cu 1.97-1.98
O  0.6260  0.2085  0.8308  1 Se 1.69
O  0.2256  0.6958  0.8432  1 Se 1.71
O  0.2983  0.0786  0.4236  1 Se 1.76, 1 Cu 1.91
O  0.6859  0.8844  0.8778  1 Se 1.75, 1 Cu 1.95
O  0.7895  0.5969  0.4959  1 Se 1.68
O  0.2105  0.4031  0.5041  1 Se 1.68
O  0.7744  0.3042  0.1568  1 Se 1.71
O  0.3141  0.1156  0.1222  1 Se 1.75, 1 Cu 1.95
O  0.6906  0.2256  0.3858  1 Se 1.77, 2 Cu 1.97-1.98
O  0.8799  0.9279  0.1468  1 Se 1.76
O  0.2834  0.4431  0.2699  1 Se 1.70
O  0.0606  0.1970  0.6645  1 Se 1.70


3.
Here is crystalline CuSe2O5 at its relaxed geometry from the Materials Project database. Energies are from r²SCAN.

abc: 4.9726 6.6600 7.8394
angles: 110.21 90.00 111.93
Last column: nearest neighbours and their distance in Å.
Sites, in units of the cell vectors:
Cu  0.5000  0.0000  0.0000  4 O 1.93-1.94
Cu  0.5000  0.0000  0.5000  4 O 1.93-1.94
Se  0.2061  0.2807  0.3306  3 O 1.68-1.84
Se  0.9254  0.7193  0.1694  3 O 1.68-1.84
Se  0.7939  0.7193  0.6694  3 O 1.68-1.84
Se  0.0746  0.2807  0.8306  3 O 1.68-1.84
O  0.3995  0.2518  0.4914  1 Se 1.69
O  0.1476  0.7481  0.0085  1 Se 1.69
O  0.6005  0.7482  0.5086  1 Se 1.69
O  0.8524  0.2519  0.9915  1 Se 1.69
O  0.3972  0.2498  0.1540  1 Se 1.68
O  0.1475  0.7503  0.3459  1 Se 1.68
O  0.1125  0.0000  0.7500  2 Se 1.84
O  0.8875  0.0000  0.2500  2 Se 1.84
O  0.8525  0.2497  0.6541  1 Se 1.68
O  0.6028  0.7502  0.8460  1 Se 1.68


4.
Here is crystalline CuSeO3 at its relaxed geometry from the Materials Project database. Energies are from r²SCAN.

abc: 8.2749 7.7047 10.6149
angles: 52.53 90.00 90.00
Last column: nearest neighbours and their distance in Å.
Sites, in units of the cell vectors:
Cu  0.7965  0.5570  0.9711  4 O 1.94-1.98
Cu  0.4014  0.2019  0.3848  4 O 1.94-2.01
Cu  0.5986  0.7981  0.6152  4 O 1.94-2.01
Cu  0.9014  0.7981  0.1152  4 O 1.94-2.01
Cu  0.2035  0.4430  0.0289  4 O 1.94-1.98
Cu  0.0986  0.2019  0.8848  4 O 1.94-2.01
Cu  0.2965  0.4430  0.5289  4 O 1.94-1.98
Cu  0.7035  0.5570  0.4711  4 O 1.94-1.98
Se  0.3637  0.9035  0.7929  3 O 1.69-1.74
Se  0.5317  0.6490  0.1696  3 O 1.71-1.75
Se  0.1363  0.9035  0.2929  3 O 1.69-1.74
Se  0.4683  0.3510  0.8304  3 O 1.71-1.75
Se  0.6363  0.0965  0.2071  3 O 1.69-1.74
Se  0.0317  0.3510  0.3304  3 O 1.71-1.75
Se  0.9683  0.6490  0.6696  3 O 1.71-1.75
Se  0.8637  0.0965  0.7071  3 O 1.69-1.74
O  0.1966  0.7492  0.8394  1 Se 1.69
O  0.4374  0.4619  0.1581  1 Se 1.71
O  0.5676  0.4706  0.3695  1 Se 1.71
O  0.2801  0.3353  0.9125  1 Se 1.75, 1 Cu 1.94
O  0.3034  0.7492  0.3394  1 Se 1.69
O  0.6966  0.2508  0.6606  1 Se 1.69
O  0.7199  0.6647  0.0875  1 Se 1.75, 1 Cu 1.94
O  0.0676  0.5294  0.1305  1 Se 1.71
O  0.0626  0.4619  0.6581  1 Se 1.71
O  0.2799  0.1465  0.7324  1 Se 1.71
O  0.8034  0.2508  0.1606  1 Se 1.69
O  0.9175  0.0404  0.8871  1 Se 1.74, 1 Cu 1.94
O  0.9324  0.4706  0.8695  1 Se 1.71
O  0.7201  0.8535  0.2676  1 Se 1.71
O  0.4324  0.5294  0.6305  1 Se 1.71
O  0.5626  0.5381  0.8419  1 Se 1.71
O  0.2201  0.1465  0.2324  1 Se 1.71
O  0.9374  0.5381  0.3419  1 Se 1.71
O  0.7801  0.6647  0.5875  1 Se 1.75, 1 Cu 1.94
O  0.5825  0.0404  0.3871  1 Se 1.74, 1 Cu 1.94
O  0.7799  0.8535  0.7676  1 Se 1.71
O  0.4175  0.9596  0.6129  1 Se 1.74, 1 Cu 1.94
O  0.2199  0.3353  0.4125  1 Se 1.75, 1 Cu 1.94
O  0.0825  0.9596  0.1129  1 Se 1.74, 1 Cu 1.94


5.
Here is crystalline Cu4Se3O10 at its relaxed geometry from the Materials Project database. Energies are from r²SCAN.

abc: 7.9779 8.1662 8.3685
angles: 77.19 65.54 81.47
Last column: nearest neighbours and their distance in Å.
Sites, in units of the cell vectors:
Cu  0.6787  0.5508  0.3910  4 O 1.91-1.98
Cu  0.3213  0.4492  0.6090  4 O 1.91-1.98
Cu  0.0893  0.5625  0.2633  4 O 1.92-2.01
Cu  0.9108  0.4375  0.7367  4 O 1.92-2.01
Cu  0.5140  0.3713  0.1748  4 O 1.93-2.03
Cu  0.4860  0.6287  0.8252  4 O 1.93-2.03
Cu  0.6046  0.1613  0.4851  4 O 1.92-1.98
Cu  0.3955  0.8387  0.5149  4 O 1.92-1.98
Se  0.1619  0.1870  0.4704  3 O 1.70-1.74
Se  0.8381  0.8130  0.5296  3 O 1.70-1.74
Se  0.9479  0.2822  0.1198  3 O 1.68-1.76
Se  0.0521  0.7178  0.8802  3 O 1.68-1.76
Se  0.4024  0.7964  0.1626  3 O 1.70-1.73
Se  0.5976  0.2036  0.8374  3 O 1.70-1.73
O  0.5298  0.3855  0.3956  4 Cu 1.91-1.98
O  0.4702  0.6145  0.6044  4 Cu 1.91-1.98
O  0.1423  0.2911  0.6373  1 Se 1.73
O  0.8577  0.7089  0.3627  1 Se 1.73
O  0.3724  0.0805  0.4236  1 Se 1.70
O  0.6276  0.9195  0.5764  1 Se 1.70
O  0.2370  0.3489  0.2883  1 Se 1.74
O  0.7630  0.6511  0.7117  1 Se 1.74
O  0.7833  0.3289  0.0321  1 Se 1.71
O  0.2167  0.6712  0.9679  1 Se 1.71
O  0.9108  0.4627  0.2152  1 Se 1.76, 1 Cu 1.95
O  0.0892  0.5373  0.7847  1 Se 1.76, 1 Cu 1.95
O  0.8514  0.1340  0.2997  1 Se 1.68
O  0.1486  0.8660  0.7003  1 Se 1.68
O  0.5184  0.6424  0.0414  1 Se 1.71
O  0.4816  0.3576  0.9586  1 Se 1.71
O  0.2231  0.6882  0.3343  1 Se 1.73, 1 Cu 1.92
O  0.7769  0.3118  0.6657  1 Se 1.73, 1 Cu 1.92
O  0.5436  0.7960  0.2690  1 Se 1.70
O  0.4564  0.2040  0.7310  1 Se 1.70


6.
Here is crystalline CuSeO3 at its relaxed geometry from the Materials Project database. Energies are from r²SCAN.

abc: 5.9494 6.9918 12.2536
angles: 90.00 90.00 90.00
Last column: nearest neighbours and their distance in Å.
Sites, in units of the cell vectors:
Cu  0.8494  0.4236  0.5918  4 O 1.96-1.99
Cu  0.3494  0.5764  0.9082  4 O 1.96-1.99
Cu  0.6506  0.9236  0.4082  4 O 1.96-1.99
Cu  0.1506  0.0764  0.0918  4 O 1.96-1.99
Cu  0.1506  0.5764  0.4082  4 O 1.96-1.99
Cu  0.6506  0.4236  0.0918  4 O 1.96-1.99
Cu  0.3494  0.0764  0.5918  4 O 1.96-1.99
Cu  0.8494  0.9236  0.9082  4 O 1.96-1.99
Se  0.8915  0.9467  0.6464  3 O 1.70-1.74
Se  0.3915  0.0533  0.8536  3 O 1.70-1.74
Se  0.6085  0.4467  0.3536  3 O 1.70-1.74
Se  0.1085  0.5533  0.1464  3 O 1.70-1.74
Se  0.1085  0.0533  0.3536  3 O 1.70-1.74
Se  0.6085  0.9467  0.1464  3 O 1.70-1.74
Se  0.3915  0.5533  0.6464  3 O 1.70-1.74
Se  0.8915  0.4467  0.8536  3 O 1.70-1.74
O  0.0271  0.6452  0.9084  1 Se 1.74
O  0.5271  0.3548  0.5916  1 Se 1.74
O  0.4729  0.1452  0.0916  1 Se 1.74
O  0.9729  0.8548  0.4084  1 Se 1.74
O  0.9729  0.3548  0.0916  1 Se 1.74
O  0.4729  0.6452  0.4084  1 Se 1.74
O  0.5271  0.8548  0.9084  1 Se 1.74
O  0.0271  0.1452  0.5916  1 Se 1.74
O  0.6448  0.4534  0.9301  1 Se 1.74
O  0.1448  0.5466  0.5699  1 Se 1.74
O  0.8552  0.9534  0.0699  1 Se 1.74
O  0.3552  0.0466  0.4301  1 Se 1.74
O  0.3552  0.5466  0.0699  1 Se 1.74
O  0.8552  0.4534  0.4301  1 Se 1.74
O  0.1448  0.0466  0.9301  1 Se 1.74
O  0.6448  0.9534  0.5699  1 Se 1.74
O  0.7959  0.0412  0.7653  1 Se 1.70
O  0.2959  0.9588  0.7347  1 Se 1.70
O  0.7041  0.5412  0.2347  1 Se 1.70
O  0.2041  0.4588  0.2653  1 Se 1.70
O  0.2041  0.9588  0.2347  1 Se 1.70
O  0.7041  0.0412  0.2653  1 Se 1.70
O  0.2959  0.4588  0.7653  1 Se 1.70
O  0.7959  0.5412  0.7347  1 Se 1.70


7.
Here is crystalline SmCuO2 at its relaxed geometry from the Materials Project database. Energies are from r²SCAN.

abc: 6.0553 6.0553 6.0553
angles: 35.23 35.23 35.23
Last column: nearest neighbours and their distance in Å.
Sites, in units of the cell vectors:
Sm  0.5000  0.5000  0.5000  6 O 2.35
Cu  0.0000  0.0000  0.0000  2 O 1.80
O  0.8940  0.8940  0.8940  1 Cu 1.80
O  0.1060  0.1060  0.1060  1 Cu 1.80


8.
Here is crystalline Sr2Cu3O5 at its relaxed geometry from the Materials Project database. Energies are from r²SCAN.

abc: 9.8911 9.8911 3.4750
angles: 90.00 90.00 157.18
Last column: nearest neighbours and their distance in Å.
Sites, in units of the cell vectors:
Sr  0.3988  0.6012  0.5000  8 O 2.62-2.63
Sr  0.6012  0.3988  0.5000  8 O 2.62-2.63
Cu  0.8007  0.1993  0.0000  4 O 1.89-1.96
Cu  0.1993  0.8007  0.0000  4 O 1.89-1.96
Cu  0.0000  0.0000  0.0000  4 O 1.96-1.98
O  0.2969  0.7031  0.0000  3 Cu 1.89-1.96
O  0.7031  0.2969  0.0000  3 Cu 1.89-1.96
O  0.1020  0.8980  0.0000  2 Cu 1.89-1.98
O  0.8980  0.1020  0.0000  2 Cu 1.89-1.98
O  0.5000  0.5000  0.0000  2 Cu 1.96


| no. | energy relative to the elements (meV per atom) | volume (Å³ per cell) |
| --- | --- | --- |
| 1 | -1834 | 138.6 |
| 2 | -805 | 399.3 |
| 3 | -785 | 223.5 |
| 4 | -805 | 537.2 |
| 5 | -808 | 482.9 |
| 6 | -805 | 509.7 |
| 7 | -2520 | 66.0 |
| 8 | -1691 | 131.9 |